## Sr2CrInO6 (GGA+U)

Data for a relaxed structure of Sr2CrInO6.

Computed properties:
Magnetization (μB per formula unit): 1.00
Energy of formation (eV/atom): -2.370
Final energy (eV/atom): -6.3051
Corrected total energy (MP2020 scheme) (eV per cell): -276.7

Cell lengths 8.048, 8.048, 8.048 Å; angles 90.00, 90.00, 90.00 degrees
Space group Fm-3m (No. 225)
One atom of each set of equivalent atoms:
Sr 0.250 0.250 0.250
Cr 0.000 0.000 0.000
In 0.000 0.000 0.500
O 0.000 0.000 0.235


## Na3CrF6 (GGA+U)

Data for a relaxed structure of Na3CrF6.

Computed properties:
Energy of formation (eV/atom): -3.067
Final energy (eV/atom): -5.1011
Corrected total energy (MP2020 scheme) (eV per cell): -111.6

Cell lengths 5.570, 5.806, 9.765 Å; angles 90.00, 124.40, 90.00 degrees
Space group P2_1/c (No. 14)
One atom of each set of equivalent atoms:
Na 0.000 0.000 0.000
Na 0.227 0.057 0.744
Cr 0.500 0.000 0.500
F 0.162 0.179 0.447
F 0.259 0.722 0.427
F 0.393 0.057 0.275


- What is the final energy in the first record?
  -6.3051 eV/atom


- Number 2 is which compound?
  Na3CrF6


- The highest corrected total energy (MP2020 scheme) belongs to which entry?
  Na3CrF6